(1)
VASP calculation (PBE) on a relaxed Rb3IrCl6O crystal.

a = 7.078 Å, b = 12.455 Å, c = 14.504 Å
α = 90.00°, β = 90.00°, γ = 90.00°
Fractional coordinates of all 44 atoms:
1 Rb 0.250 0.889 0.537
2 Rb 0.750 0.111 0.463
3 Rb 0.750 0.611 0.037
4 Rb 0.250 0.389 0.963
5 Rb 0.250 0.558 0.642
6 Rb 0.750 0.442 0.358
7 Rb 0.750 0.942 0.142
8 Rb 0.250 0.058 0.858
9 Rb 0.250 0.672 0.274
10 Rb 0.750 0.328 0.726
11 Rb 0.750 0.828 0.774
12 Rb 0.250 0.172 0.226
13 Ir 0.250 0.724 0.904
14 Ir 0.750 0.276 0.096
15 Ir 0.750 0.776 0.404
16 Ir 0.250 0.224 0.596
17 Cl 0.016 0.605 0.848
18 Cl 0.984 0.395 0.152
19 Cl 0.984 0.895 0.348
20 Cl 0.516 0.395 0.152
21 Cl 0.016 0.105 0.652
22 Cl 0.484 0.605 0.848
23 Cl 0.484 0.105 0.652
24 Cl 0.516 0.895 0.348
25 Cl 0.250 0.634 0.047
26 Cl 0.750 0.366 0.953
27 Cl 0.750 0.866 0.547
28 Cl 0.250 0.134 0.453
29 Cl 0.017 0.842 0.962
30 Cl 0.983 0.158 0.038
31 Cl 0.983 0.658 0.462
32 Cl 0.517 0.158 0.038
33 Cl 0.017 0.342 0.538
34 Cl 0.483 0.842 0.962
35 Cl 0.483 0.342 0.538
36 Cl 0.517 0.658 0.462
37 Cl 0.250 0.814 0.759
38 Cl 0.750 0.186 0.241
39 Cl 0.750 0.686 0.259
40 Cl 0.250 0.314 0.741
41 O 0.250 0.935 0.165
42 O 0.750 0.065 0.835
43 O 0.750 0.565 0.665
44 O 0.250 0.435 0.335

Symmetry: Pnma (62)
Energy of formation in eV per atom: -1.117


(2)
VASP calculation (PBE) on a relaxed Pr6IrCl11 crystal.

a = 8.302 Å, b = 8.302 Å, c = 7.412 Å
α = 87.12°, β = 87.12°, γ = 101.70°
Fractional coordinates of all 18 atoms:
1 Pr 0.708 0.017 0.772
2 Pr 0.196 0.196 0.760
3 Pr 0.983 0.292 0.228
4 Pr 0.017 0.708 0.772
5 Pr 0.804 0.804 0.240
6 Pr 0.292 0.983 0.228
7 Ir 0.000 0.000 0.000
8 Cl 0.000 0.000 0.500
9 Cl 0.661 0.095 0.364
10 Cl 0.491 0.203 0.944
11 Cl 0.307 0.307 0.365
12 Cl 0.905 0.339 0.636
13 Cl 0.203 0.491 0.944
14 Cl 0.797 0.509 0.056
15 Cl 0.095 0.661 0.364
16 Cl 0.693 0.693 0.635
17 Cl 0.509 0.797 0.056
18 Cl 0.339 0.905 0.636

Symmetry: C2/m (12)
Energy of formation in eV per atom: -2.372


(3)
VASP calculation (PBE) on a relaxed Sc5IrCl9 crystal.

a = 11.766 Å, b = 11.766 Å, c = 22.573 Å
α = 105.11°, β = 105.11°, γ = 90.00°
Fractional coordinates of all 120 atoms:
1 Sc 0.480 0.359 0.311
2 Sc 0.831 0.452 0.311
3 Sc 0.859 0.331 0.811
4 Sc 0.952 0.980 0.811
5 Sc 0.520 0.641 0.689
6 Sc 0.169 0.548 0.689
7 Sc 0.141 0.669 0.189
8 Sc 0.048 0.020 0.189
9 Sc 0.105 0.590 0.324
10 Sc 0.219 0.234 0.324
11 Sc 0.090 0.719 0.824
12 Sc 0.734 0.605 0.824
13 Sc 0.895 0.410 0.676
14 Sc 0.781 0.766 0.676
15 Sc 0.910 0.281 0.176
16 Sc 0.266 0.395 0.176
17 Sc 0.393 0.633 0.309
18 Sc 0.916 0.175 0.309
19 Sc 0.133 0.416 0.809
20 Sc 0.675 0.893 0.809
21 Sc 0.607 0.367 0.691
22 Sc 0.084 0.825 0.691
23 Sc 0.867 0.584 0.191
24 Sc 0.325 0.107 0.191
25 Sc 0.354 0.508 0.424
26 Sc 0.070 0.416 0.424
27 Sc 0.008 0.570 0.924
28 Sc 0.916 0.854 0.924
29 Sc 0.646 0.492 0.576
30 Sc 0.930 0.584 0.576
31 Sc 0.992 0.430 0.076
32 Sc 0.084 0.146 0.076
33 Sc 0.567 0.918 0.435
34 Sc 0.868 0.017 0.435
35 Sc 0.418 0.368 0.935
36 Sc 0.517 0.067 0.935
37 Sc 0.433 0.082 0.565
38 Sc 0.132 0.983 0.565
39 Sc 0.582 0.632 0.065
40 Sc 0.483 0.933 0.065
41 Ir 0.273 0.440 0.301
42 Ir 0.028 0.361 0.301
43 Ir 0.940 0.528 0.801
44 Ir 0.861 0.773 0.801
45 Ir 0.727 0.560 0.699
46 Ir 0.972 0.639 0.699
47 Ir 0.060 0.472 0.199
48 Ir 0.139 0.227 0.199
49 Cl 0.461 0.281 0.189
50 Cl 0.728 0.408 0.189
51 Cl 0.781 0.228 0.689
52 Cl 0.908 0.961 0.689
53 Cl 0.539 0.719 0.811
54 Cl 0.272 0.592 0.811
55 Cl 0.219 0.772 0.311
56 Cl 0.092 0.039 0.311
57 Cl 0.180 0.623 0.451
58 Cl 0.271 0.328 0.451
59 Cl 0.123 0.771 0.951
60 Cl 0.828 0.680 0.951
61 Cl 0.820 0.377 0.549
62 Cl 0.729 0.672 0.549
63 Cl 0.877 0.229 0.049
64 Cl 0.172 0.320 0.049
65 Cl 0.552 0.416 0.437
66 Cl 0.885 0.521 0.437
67 Cl 0.916 0.385 0.937
68 Cl 0.021 0.052 0.937
69 Cl 0.448 0.584 0.563
70 Cl 0.115 0.479 0.563
71 Cl 0.084 0.615 0.063
72 Cl 0.979 0.948 0.063
73 Cl 0.426 0.146 0.312
74 Cl 0.886 0.667 0.312
75 Cl 0.646 0.386 0.812
76 Cl 0.167 0.926 0.812
77 Cl 0.574 0.854 0.688
78 Cl 0.114 0.333 0.688
79 Cl 0.354 0.614 0.188
80 Cl 0.833 0.074 0.188
81 Cl 0.508 0.840 0.320
82 Cl 0.812 0.980 0.320
83 Cl 0.340 0.312 0.820
84 Cl 0.480 0.008 0.820
85 Cl 0.492 0.160 0.680
86 Cl 0.188 0.020 0.680
87 Cl 0.660 0.688 0.180
88 Cl 0.520 0.992 0.180
89 Cl 0.464 0.716 0.433
90 Cl 0.969 0.216 0.433
91 Cl 0.216 0.469 0.933
92 Cl 0.716 0.964 0.933
93 Cl 0.536 0.284 0.567
94 Cl 0.031 0.784 0.567
95 Cl 0.784 0.531 0.067
96 Cl 0.284 0.036 0.067
97 Cl 0.599 0.543 0.315
98 Cl 0.716 0.272 0.315
99 Cl 0.043 0.216 0.815
100 Cl 0.772 0.099 0.815
101 Cl 0.401 0.457 0.685
102 Cl 0.284 0.728 0.685
103 Cl 0.957 0.784 0.185
104 Cl 0.228 0.901 0.185
105 Cl 0.388 0.027 0.444
106 Cl 0.056 0.917 0.444
107 Cl 0.527 0.556 0.944
108 Cl 0.417 0.888 0.944
109 Cl 0.612 0.973 0.556
110 Cl 0.944 0.083 0.556
111 Cl 0.473 0.444 0.056
112 Cl 0.583 0.112 0.056
113 Cl 0.765 0.837 0.441
114 Cl 0.675 0.104 0.441
115 Cl 0.337 0.175 0.941
116 Cl 0.604 0.265 0.941
117 Cl 0.235 0.163 0.559
118 Cl 0.325 0.896 0.559
119 Cl 0.663 0.825 0.059
120 Cl 0.396 0.735 0.059

Symmetry: I4_1/a (88)
Energy of formation in eV per atom: -2.251


(4)
VASP calculation (PBE) on a relaxed Te7IrCl7 crystal.

a = 9.477 Å, b = 10.350 Å, c = 11.665 Å
α = 68.96°, β = 66.67°, γ = 66.89°
Fractional coordinates of all 30 atoms:
1 Te 0.794 0.051 0.298
2 Te 0.206 0.949 0.702
3 Te 0.653 0.287 0.120
4 Te 0.347 0.713 0.880
5 Te 0.069 0.154 0.196
6 Te 0.931 0.846 0.804
7 Te 0.045 0.659 0.016
8 Te 0.955 0.341 0.984
9 Te 0.807 0.053 0.969
10 Te 0.193 0.947 0.031
11 Te 0.660 0.764 0.273
12 Te 0.340 0.236 0.727
13 Te 0.057 0.658 0.340
14 Te 0.943 0.342 0.660
15 Ir 0.927 0.851 0.159
16 Ir 0.073 0.149 0.841
17 Cl 0.674 0.740 0.038
18 Cl 0.326 0.260 0.962
19 Cl 0.804 0.495 0.310
20 Cl 0.196 0.505 0.690
21 Cl 0.649 0.743 0.494
22 Cl 0.351 0.257 0.506
23 Cl 0.469 0.032 0.268
24 Cl 0.531 0.968 0.732
25 Cl 0.209 0.462 0.208
26 Cl 0.791 0.538 0.792
27 Cl 0.320 0.676 0.284
28 Cl 0.680 0.324 0.716
29 Cl 0.981 0.844 0.470
30 Cl 0.019 0.156 0.530

Symmetry: P-1 (2)
Energy of formation in eV per atom: -0.731


(5)
VASP calculation (PBE) on a relaxed K2LiLuCl6 crystal.

a = 7.269 Å, b = 7.269 Å, c = 7.269 Å
α = 60.00°, β = 60.00°, γ = 60.00°
Fractional coordinates of all 10 atoms:
1 K 0.750 0.750 0.750
2 K 0.250 0.250 0.250
3 Li 0.500 0.500 0.500
4 Lu 0.000 0.000 0.000
5 Cl 0.750 0.250 0.250
6 Cl 0.250 0.250 0.750
7 Cl 0.250 0.750 0.750
8 Cl 0.250 0.750 0.250
9 Cl 0.750 0.250 0.750
10 Cl 0.750 0.750 0.250

Symmetry: Fm-3m (225)
Energy of formation in eV per atom: -2.440


(6)
VASP calculation (PBE) on a relaxed K2LiMoCl6 crystal.

a = 7.120 Å, b = 7.120 Å, c = 7.120 Å
α = 60.00°, β = 60.00°, γ = 60.00°
Fractional coordinates of all 10 atoms:
1 K 0.750 0.750 0.750
2 K 0.250 0.250 0.250
3 Li 0.500 0.500 0.500
4 Mo 0.000 0.000 0.000
5 Cl 0.756 0.244 0.244
6 Cl 0.244 0.244 0.756
7 Cl 0.244 0.756 0.756
8 Cl 0.244 0.756 0.244
9 Cl 0.756 0.244 0.756
10 Cl 0.756 0.756 0.244

Symmetry: Fm-3m (225)
Energy of formation in eV per atom: -1.851


(7)
VASP calculation (PBE) on a relaxed K2LiSmCl6 crystal.

a = 7.430 Å, b = 7.430 Å, c = 7.430 Å
α = 60.00°, β = 60.00°, γ = 60.00°
Fractional coordinates of all 10 atoms:
1 K 0.750 0.750 0.750
2 K 0.250 0.250 0.250
3 Li 0.500 0.500 0.500
4 Sm 0.000 0.000 0.000
5 Cl 0.744 0.256 0.256
6 Cl 0.256 0.256 0.744
7 Cl 0.256 0.744 0.744
8 Cl 0.256 0.744 0.256
9 Cl 0.744 0.256 0.744
10 Cl 0.744 0.744 0.256

Symmetry: Fm-3m (225)
Energy of formation in eV per atom: -2.416


(8)
VASP calculation (PBE) on a relaxed KMnCl3 crystal.

a = 3.904 Å, b = 8.924 Å, c = 14.613 Å
α = 90.00°, β = 90.00°, γ = 90.00°
Fractional coordinates of all 20 atoms:
1 K 0.750 0.563 0.824
2 K 0.250 0.937 0.324
3 K 0.250 0.437 0.176
4 K 0.750 0.063 0.676
5 Mn 0.250 0.165 0.944
6 Mn 0.250 0.665 0.556
7 Mn 0.750 0.335 0.444
8 Mn 0.750 0.835 0.056
9 Cl 0.250 0.520 0.402
10 Cl 0.250 0.674 0.996
11 Cl 0.750 0.480 0.598
12 Cl 0.750 0.723 0.207
13 Cl 0.250 0.277 0.793
14 Cl 0.750 0.980 0.902
15 Cl 0.250 0.020 0.098
16 Cl 0.750 0.223 0.293
17 Cl 0.750 0.326 0.004
18 Cl 0.250 0.777 0.707
19 Cl 0.750 0.826 0.496
20 Cl 0.250 0.174 0.504

Symmetry: Pnma (62)
Energy of formation in eV per atom: -1.818


Question: Look up the energy of formation of the fifth one.
Answer: -2.440 eV per atom